# 1
Density functional theory data (r2SCAN) for Mn4FeGe3 after structural relaxation.

Cell and atoms, written as POSCAR:
```
Mn4FeGe3
1.0
7.198 0.000 0.000
-3.599 6.234 0.000
0.000 0.000 4.953
Mn Fe Ge
8 2 6
direct
0.000 0.242 0.249
0.000 0.758 0.751
0.242 0.000 0.249
0.242 0.242 0.751
0.333 0.667 0.000
0.667 0.333 0.000
0.758 0.000 0.751
0.758 0.758 0.249
0.333 0.667 0.500
0.667 0.333 0.500
0.000 0.394 0.743
0.000 0.606 0.257
0.394 0.000 0.743
0.394 0.394 0.257
0.606 0.000 0.257
0.606 0.606 0.743
```

Values from the calculation:
Energy   -14.6022 eV per atom
Magnetization   30.24 Bohr magnetons per cell
Theoretical density   7.37 g/cm³
Energy of formation   -0.2569 eV/atom
SG   No. 162

---

# 2
Density functional theory data (r2SCAN) for NdFe2Ge2 after structural relaxation.

Cell and atoms, written as POSCAR:
```
NdFe2Ge2
1.0
-2.004 2.004 5.461
2.004 -2.004 5.461
2.004 2.004 -5.461
Nd Fe Ge
1 2 2
direct
0.000 0.000 0.000
0.250 0.750 0.500
0.750 0.250 0.500
0.382 0.382 0.000
0.618 0.618 0.000
```

Values from the calculation:
Energy   -17.6590 eV per atom
Magnetization   5.34 Bohr magnetons per cell
Theoretical density   7.59 g/cm³
Energy of formation   -0.4612 eV/atom
SG   No. 139

---

# 3
Density functional theory data (r2SCAN) for ScFeGe after structural relaxation.

Cell and atoms, written as POSCAR:
```
ScFeGe
1.0
6.585 0.000 0.000
-3.293 5.703 0.000
0.000 0.000 3.952
Sc Fe Ge
3 3 3
direct
0.000 0.584 0.000
0.416 0.416 0.000
0.584 0.000 0.000
0.000 0.229 0.500
0.229 0.000 0.500
0.771 0.771 0.500
0.000 0.000 0.000
0.333 0.667 0.500
0.667 0.333 0.500
```

Values from the calculation:
Energy   -13.7935 eV per atom
Magnetization   8.16 Bohr magnetons per cell
Theoretical density   5.82 g/cm³
Energy of formation   -0.5655 eV/atom
SG   No. 189